[1]
La2Cu2I: relaxed, GGA-PBE.

Values from the calculation:
The value obtained for the offset from the most stable computed form is 0 kJ/mol of formula units.

```
5
Lattice="-1.882 1.495 -3.529 -2.110 0.008 3.711 3.082 7.976 1.735" Properties=species:S:1:pos:R:3 pbc="T T T"
Cu 0.000 0.000 0.000
La 0.395 6.789 2.665
I 1.541 3.988 0.867
Cu -1.958 0.999 -1.115
La -1.381 2.194 1.666
```

---

[2]
Na2Li2CuI2O2: relaxed, GGA-PBE.

Values from the calculation:
The calculation puts the calculated total energy at -3.59 eV/atom.

```
9
Lattice="0.441 -8.361 8.082 1.620 -3.495 10.981 -3.851 6.294 -8.999" Properties=species:S:1:pos:R:3 pbc="T T T"
Cu 1.031 -5.928 9.531
Li -1.190 -3.998 4.307
Li -0.600 -1.564 5.757
O -1.115 1.400 0.991
O -1.705 -1.034 -0.459
I 0.678 -3.903 6.275
Na 0.113 -0.649 1.043
Na 1.948 -11.207 18.020
I 1.383 -7.953 12.788
```

---

[3]
CuMo3I7: relaxed, GGA-PBE.

Values from the calculation:
The calculation puts the calculated total energy at -4.66 eV/atom.

```
88
Lattice="-9.633 1.987 -5.819 -8.924 -5.262 12.976 -0.441 16.113 6.231" Properties=species:S:1:pos:R:3 pbc="T T T"
Mo -17.133 5.525 10.888
I -8.651 9.818 0.498
I -8.783 5.952 -0.446
I -16.571 6.575 8.366
I -2.427 6.262 5.023
I -10.781 6.156 9.859
I -11.295 8.749 4.930
Cu -15.361 0.956 6.438
I -9.301 9.441 8.277
I -10.153 -1.138 10.624
I -10.262 13.215 6.972
Mo -1.100 8.710 4.670
Mo -13.760 -0.037 2.439
I -5.711 -0.702 3.945
Mo -4.255 15.817 4.306
Mo -8.017 5.437 6.023
I -13.241 8.936 8.322
I -15.897 11.224 13.393
Cu -3.636 11.882 6.951
I -10.215 6.886 13.835
Cu -9.975 0.299 8.519
Mo -8.788 8.010 5.935
I -12.773 5.423 6.505
I -11.141 0.706 1.774
Mo -12.847 14.584 6.886
Mo -13.409 11.213 14.680
Cu -5.549 4.265 2.547
I -18.394 7.913 11.586
Mo -5.238 12.875 10.950
I -3.101 1.614 -0.004
Cu -10.936 4.922 0.466
I -5.819 11.926 8.278
Mo -5.589 1.624 -1.291
I -10.860 11.137 15.829
I -7.703 4.089 8.459
I -11.994 3.275 -1.161
I -2.624 13.885 5.780
I -12.196 10.335 12.186
I -16.374 -1.047 7.609
Mo -1.865 7.313 2.501
I -0.604 4.925 1.803
I -6.802 2.503 1.202
I -9.697 3.397 5.111
Cu -8.062 7.916 12.923
Mo -6.678 15.860 3.132
I -3.255 9.657 3.152
I -13.979 12.292 5.774
I -7.004 9.563 14.550
I -7.856 12.132 11.615
I -8.845 13.976 2.765
I -4.886 13.820 2.465
I -4.383 6.236 1.468
I -13.179 0.912 5.110
I -6.977 7.272 10.728
Mo -6.151 -1.746 6.503
Mo -9.540 4.416 15.185
Mo -5.721 11.913 13.414
I -12.021 5.566 2.661
I -16.526 3.217 6.322
Mo -9.457 8.422 -1.796
I -15.743 3.181 10.237
Mo -8.541 6.758 8.308
I -10.347 3.020 12.890
Cu -13.449 8.573 10.842
Mo -17.898 4.128 8.719
I -8.137 1.701 -2.440
I -14.111 -0.982 10.924
Mo -10.457 6.080 5.081
I -14.615 6.601 11.921
I -8.217 6.682 3.530
I -7.664 10.393 4.703
Mo -12.320 -3.022 10.257
I -13.287 13.540 9.444
I -6.716 -2.693 9.065
I -8.736 -0.377 6.416
Mo -10.981 7.400 7.366
I -2.472 9.621 7.067
I -12.282 15.531 4.323
Mo -10.210 4.828 7.454
I -12.506 -2.274 7.572
I -5.019 0.546 7.615
Cu -9.023 12.539 4.870
I -5.757 3.902 5.067
I -11.334 2.445 8.686
I -6.225 7.415 6.883
I -6.491 15.112 5.817
Mo -14.743 -2.979 9.083
Mo -13.277 0.925 -0.025
```

---

[4]
Rb2CuMoI6: relaxed, GGA-PBE.

Values from the calculation:
The calculation puts the calculated total energy at -3.21 eV/atom.

```
10
Lattice="0.000 5.726 5.726 5.726 0.000 5.726 5.726 5.726 0.000" Properties=species:S:1:pos:R:3 pbc="T T T"
I 8.611 5.726 5.726
Mo 0.000 0.000 0.000
I 5.726 5.726 8.611
Rb 8.590 8.590 8.590
I 2.842 5.726 5.726
Cu 5.726 5.726 5.726
I 5.726 8.611 5.726
I 5.726 2.842 5.726
I 5.726 5.726 2.842
Rb 2.863 2.863 2.863
```

---

[5]
CuI4N4: relaxed, GGA-PBE.

Values from the calculation:
The calculation puts the calculated total energy at -3.50 eV/atom.

```
9
Lattice="-5.753 -2.085 -0.772 -3.619 -0.984 4.896 -4.829 5.583 0.733" Properties=species:S:1:pos:R:3 pbc="T T T"
I -5.945 -1.744 2.576
N -5.111 1.723 3.605
N -9.090 0.791 1.251
I -8.941 0.097 3.346
I -5.260 2.417 1.510
N -6.398 1.059 0.186
N -7.803 1.455 4.671
I -8.256 4.258 2.280
Cu -2.415 2.792 0.366
```

---

[6]
NaCuI3O9: relaxed, GGA-PBE.

Values from the calculation:
The calculation puts the calculated total energy at -4.46 eV/atom.

```
28
Lattice="-6.135 1.830 3.726 -0.845 -6.552 4.328 2.297 1.517 7.845" Properties=species:S:1:pos:R:3 pbc="T T T"
O -1.024 -1.712 7.114
O -4.582 -2.894 10.944
O -3.409 1.395 8.177
O -5.475 0.901 5.890
O -1.281 0.201 9.474
Na -2.934 -2.597 12.782
Na -1.750 -0.608 3.117
O -2.230 -5.607 5.338
O -0.101 -0.311 4.954
O -3.659 -1.493 8.785
O -1.275 -4.600 7.722
Cu 1.149 0.759 3.922
I -0.186 -2.558 9.872
I -0.650 0.006 6.704
O 1.060 -0.007 7.464
I -4.497 -0.648 6.027
O 0.791 -4.107 10.009
I -4.033 -3.211 9.195
O -2.876 -0.096 12.466
O -5.744 -3.198 8.434
I -2.979 0.745 9.881
O -1.807 -3.109 3.433
O -1.796 -3.148 10.558
O -3.403 -3.406 6.425
Cu 0.000 0.000 0.000
O -2.888 -0.057 5.341
O -2.453 2.402 10.560
I -1.704 -3.950 6.017
```

---

[7]
NaCuI2O4: relaxed, GGA-PBE.

Values from the calculation:
The calculation puts the calculated total energy at -3.77 eV/atom.

```
16
Lattice="-3.612 -6.740 -2.913 0.650 3.055 -7.563 4.432 -2.696 -1.616" Properties=species:S:1:pos:R:3 pbc="T T T"
I 0.497 -3.342 -10.576
Na -0.944 -3.828 -5.019
Na 2.414 -2.552 -7.073
O -0.621 -2.329 -7.229
I 4.355 -1.707 -3.596
I -2.885 -4.673 -8.496
Cu -0.263 -8.704 -4.153
O 0.012 -5.258 -6.922
O -0.994 -1.130 -7.434
O 2.090 -4.051 -4.863
O 0.386 -1.526 -4.614
I 0.973 -3.038 -1.516
O 2.464 -5.250 -4.658
O 1.457 -1.122 -5.170
Cu 1.733 2.324 -7.940
O 1.083 -4.854 -7.478
```

---

[8]
NaCuSI: relaxed, GGA-PBE.

Values from the calculation:
The calculation puts the calculated total energy at -2.95 eV/atom.

```
4
Lattice="3.979 0.000 0.000 0.000 3.979 0.000 0.000 0.000 5.681" Properties=species:S:1:pos:R:3 pbc="T T T"
Cu 0.000 0.000 0.000
I 1.989 1.989 0.000
Na 1.989 1.989 2.841
S 0.000 0.000 2.841
```

---

[9]
Cu2IO3: relaxed, GGA-PBE.

Values from the calculation:
The calculation puts the calculated total energy at -4.45 eV/atom.

```
12
Lattice="5.752 0.000 0.000 0.000 5.858 0.000 0.000 1.263 5.948" Properties=species:S:1:pos:R:3 pbc="T T T"
I 4.314 5.223 3.024
O 4.314 0.350 1.266
O 1.438 6.771 4.682
O 2.886 3.074 5.468
Cu 2.876 0.000 0.000
I 1.438 1.898 2.924
O 0.010 4.047 0.480
Cu 1.438 4.196 5.925
O 5.742 3.074 5.468
O 2.866 4.047 0.480
Cu 0.000 0.000 0.000
Cu 4.314 2.925 0.023
```

---

[10]
Rb2Cu2I4O: relaxed, GGA-PBE.

Values from the calculation:
The calculation puts the calculated total energy at -2.86 eV/atom.

```
36
Lattice="7.540 0.000 0.000 0.000 11.399 0.000 0.000 0.000 14.510" Properties=species:S:1:pos:R:3 pbc="T T T"
Rb 3.971 7.999 12.350
Rb 1.273 10.200 7.357
I 5.618 9.985 5.175
I 5.713 6.181 3.220
I 1.848 7.114 9.335
Cu 4.238 8.322 3.609
I 0.124 7.675 13.246
Cu 3.325 5.412 3.953
Rb 7.339 3.400 5.095
I 5.860 9.585 9.595
I 1.922 4.286 2.080
Rb 6.267 4.501 14.408
I 3.894 9.424 1.264
O 3.912 5.966 14.234
Rb 3.569 2.299 9.415
Cu 4.215 11.111 3.302
Rb 5.043 6.899 7.153
Rb 0.201 9.100 2.160
I 3.646 3.724 5.991
I 1.827 0.482 4.035
I 1.943 10.918 11.290
O 7.398 5.433 6.979
I 5.450 1.814 2.340
Cu 3.301 2.623 3.646
I 2.090 7.513 4.915
Rb 2.497 1.199 0.102
Cu 0.445 5.987 11.208
I 1.680 3.886 12.170
O 0.142 11.132 0.277
Cu 7.071 3.077 10.864
I 7.416 1.975 8.519
Cu 0.468 8.776 10.901
I 5.597 5.218 10.475
O 3.628 0.267 7.532
Cu 7.095 0.288 10.557
I 5.692 1.414 12.430
```

---

[11]
Sr2Cu3I2O4: relaxed, GGA-PBE.

Values from the calculation:
The calculation puts the calculated total energy at -4.45 eV/atom.

```
11
Lattice="-2.842 2.842 8.741 2.842 -2.842 8.741 2.842 2.842 -8.741" Properties=species:S:1:pos:R:3 pbc="T T T"
Cu 2.842 0.000 0.000
O 1.542 -1.542 8.741
O 1.300 1.300 0.000
O -1.542 1.542 8.741
O 1.542 1.542 8.741
Cu 0.000 0.000 0.000
I 2.842 0.000 4.371
I 0.000 2.842 4.371
Sr 0.000 0.000 2.612
Cu 0.000 2.842 0.000
Sr 0.000 0.000 14.871
```

---

[12]
CuP7I: relaxed, GGA-PBE.

Values from the calculation:
The calculation puts the calculated total energy at -4.88 eV/atom.

```
72
Lattice="-2.320 -6.148 7.334 9.404 -3.332 0.181 7.910 9.855 10.764" Properties=species:S:1:pos:R:3 pbc="T T T"
P 4.356 -5.381 7.645
P 10.526 5.806 12.892
P 4.374 0.149 7.180
P 12.116 -0.469 15.656
P 8.028 -6.520 7.975
P 11.720 1.088 17.163
Cu 5.062 5.444 7.141
P 9.217 0.817 14.184
P 10.620 0.226 11.099
P 8.687 -1.396 8.867
I 11.592 1.481 7.573
P 7.935 -1.796 12.310
P 9.159 7.277 9.937
P 10.544 -1.704 10.032
P 6.980 -1.831 10.305
P 7.122 -3.378 6.493
Cu 7.589 -1.414 3.089
P 10.946 2.219 13.860
P 3.273 -0.714 1.116
I 7.413 -4.042 2.902
P 9.789 -2.888 11.807
P 4.450 2.079 8.247
Cu 9.932 -5.070 11.137
P 8.732 7.060 13.201
P 2.877 0.844 2.622
P 8.486 4.366 8.271
P 4.159 -2.458 2.276
P 7.912 -5.446 5.994
P 2.300 -0.441 4.379
P 5.496 -3.490 8.062
P 7.871 3.753 11.786
P 6.380 0.027 6.208
Cu 3.952 -1.808 8.220
P 8.014 2.205 7.974
P 12.329 -0.676 12.264
P 8.488 -4.777 9.311
P 7.059 2.171 5.968
P 4.048 -1.844 4.418
P 6.025 3.631 10.556
P 5.204 3.262 6.471
P 10.834 2.832 16.003
P 4.915 1.471 3.249
P 13.870 1.558 17.401
Cu 14.704 2.024 13.935
P 10.637 5.756 10.634
P 8.613 0.348 12.071
I 3.401 -1.107 10.705
P 9.497 3.864 10.216
P 6.507 -3.991 10.008
P 10.079 -1.096 15.030
P 7.082 5.820 12.285
P 8.969 -3.257 7.722
P 6.307 1.771 9.412
P 6.261 -6.685 5.077
P 11.214 -2.248 13.439
P 5.835 -6.902 8.342
P 6.965 6.894 10.303
Cu 11.042 2.182 10.059
I 1.874 -2.979 7.148
I 5.525 1.145 13.489
P 5.776 -0.443 4.094
P 2.665 1.050 6.014
Cu 7.405 1.789 15.190
P 4.468 -5.431 5.387
I 7.581 4.416 15.376
P 1.124 -1.183 0.878
I 9.468 -0.770 4.790
P 12.693 0.815 13.900
I 13.120 3.353 11.131
P 6.506 5.152 8.967
P 3.780 2.622 4.839
Cu 0.290 -1.650 4.344
```